P:
This record from the Materials Project describes an optimized crystal structure of CaH8Br2O12. The functional is PBE-GGA.

As for the total moment: 6.03 Bohr magnetons per cell.

a b c (Å): 5.694 9.703 14.536
angles (deg): 107.46 97.08 100.47
Space group P-1 (No. 2)
Symmetry-distinct sites (fractional):
Ca  0.241  0.056  0.311
H  0.044  0.237  0.700
H  0.087  0.273  0.455
H  0.156  0.268  0.050
H  0.159  0.796  0.620
H  0.167  0.444  0.253
H  0.226  0.399  0.345
H  0.341  0.425  0.098
H  0.434  0.535  0.768
Br  0.133  0.555  0.877
Br  0.271  0.827  0.468
O  0.034  0.234  0.383
O  0.106  0.840  0.326
O  0.116  0.088  0.156
O  0.124  0.967  0.886
O  0.184  0.371  0.050
O  0.189  0.939  0.965
O  0.304  0.435  0.298
O  0.394  0.828  0.597
O  0.400  0.490  0.819
O  0.413  0.520  0.517
O  0.425  0.763  0.117
O  0.459  0.886  0.179


Q:
This record from the Materials Project describes an optimized crystal structure of CaH8Br2O12. The functional is PBE-GGA.

As for the total moment: 0.00 Bohr magnetons per cell.

a b c (Å): 5.691 8.168 12.132
angles (deg): 80.84 89.75 89.36
Space group P-1 (No. 2)
Symmetry-distinct sites (fractional):
Ca  0.017  0.231  0.243
H  0.178  0.512  0.626
H  0.200  0.909  0.189
H  0.289  0.675  0.567
H  0.299  0.541  0.206
H  0.306  0.813  0.944
H  0.311  0.925  0.304
H  0.394  0.944  0.844
H  0.457  0.421  0.291
Br  0.161  0.321  0.916
Br  0.259  0.170  0.557
O  0.057  0.301  0.589
O  0.110  0.739  0.109
O  0.165  0.526  0.892
O  0.227  0.138  0.428
O  0.235  0.254  0.046
O  0.242  0.991  0.640
O  0.243  0.617  0.641
O  0.261  0.873  0.871
O  0.264  0.991  0.232
O  0.298  0.436  0.258
O  0.354  0.248  0.834
O  0.475  0.756  0.428


Preferred: Q; penalty for the next structure: 3.7 kJ/mol of atoms.